[1]
A plane-wave DFT calculation with PBE was carried out for crystalline AgBr at its relaxed geometry.

Results
**Energy of formation from the pure elements**: -0.83 eV/f.u.
**Space group**: Pm-3m, No. 221

Lattice parameters (Å, degrees): 3.604 3.604 3.604 90.00 90.00 90.00
Sites, in units of the cell vectors:
Ag  0.000  0.000  0.000
Br  0.500  0.500  0.500



[2]
A plane-wave DFT calculation with PBE was carried out for crystalline AgBr at its relaxed geometry.

Results
**Piezoelectric modulus e_max**: 0.250 C/m2
**Energy of formation from the pure elements**: -1.27 eV/f.u.
**Space group**: F-43m, No. 216

Lattice parameters (Å, degrees): 4.476 4.476 4.476 60.00 60.00 60.00
Sites, in units of the cell vectors:
Ag  0.000  0.000  0.000
Br  0.750  0.750  0.750



[3]
A plane-wave DFT calculation with PBE was carried out for crystalline Ag3Br at its relaxed geometry.

Results
**Energy of formation from the pure elements**: -0.20 eV/f.u.
**Space group**: P6_3/mmc, No. 194

Lattice parameters (Å, degrees): 6.545 6.545 4.722 90.00 90.00 120.00
Sites, in units of the cell vectors:
Ag  0.147  0.295  0.250
Ag  0.705  0.853  0.250
Ag  0.147  0.853  0.250
Ag  0.853  0.705  0.750
Ag  0.295  0.147  0.750
Ag  0.853  0.147  0.750
Br  0.333  0.667  0.750
Br  0.667  0.333  0.250